<P>
Compound: PrEr3
Source: Materials Project
Functional: PBE
Structure: relaxed

Calculated values
The symmetry is I4/mmm (139).

Cell: 6.1650 6.1650 6.1650 Å, 131.58 131.58 70.90°
Closest atoms and distances in Å follow each position.
Fractional coordinates of all 4 atoms:
Pr (0.0000, 0.0000, 0.0000)  12 Er 3.56-3.58
Er (0.2500, 0.7500, 0.5000)  8 Er 3.56-3.58, 4 Pr 3.56
Er (0.5000, 0.5000, 0.0000)  8 Er 3.56, 4 Pr 3.58
Er (0.7500, 0.2500, 0.5000)  8 Er 3.56-3.58, 4 Pr 3.56

---

<Q>
Compound: PrEr3
Source: Materials Project
Functional: PBE
Structure: relaxed

Calculated values
The symmetry is P6_3/mmc (194).

Cell: 7.2323 7.2323 5.7421 Å, 90.00 90.00 120.00°
Closest atoms and distances in Å follow each position.
Fractional coordinates of all 8 atoms:
Pr (0.3333, 0.6667, 0.2500)  12 Er 3.57-3.62
Pr (0.6667, 0.3333, 0.7500)  12 Er 3.57-3.62
Er (0.1641, 0.3283, 0.7500)  8 Er 3.53-3.67, 4 Pr 3.57-3.62
Er (0.1641, 0.8359, 0.7500)  8 Er 3.53-3.67, 4 Pr 3.57-3.62
Er (0.3283, 0.1641, 0.2500)  8 Er 3.53-3.67, 4 Pr 3.57-3.62
Er (0.6717, 0.8359, 0.7500)  8 Er 3.53-3.67, 4 Pr 3.57-3.62
Er (0.8359, 0.1641, 0.2500)  8 Er 3.53-3.67, 4 Pr 3.57-3.62
Er (0.8359, 0.6717, 0.2500)  8 Er 3.53-3.67, 4 Pr 3.57-3.62

---

Unit: kJ/mol of atoms. Relative energies: <P> 1.2; <Q> 0.0.